A geometry-optimized LiAlSiO4 structure, computed with GGA-PBE.

Results
- energy relative to the elements (eV per atom) = -3.20
- calculated density (Mg/m³) = 2.27
- magnetic moment (μB per cell) = 0.0

```
LiAlSiO4
1.0
10.597 0.000 0.000
-5.299 9.178 0.000
0.000 0.000 11.387
Li Al Si O
12 12 12 48
Cartesian
0.000 0.000 0.000
0.000 0.000 3.796
0.000 0.000 7.591
-2.649 4.589 1.898
-2.649 4.589 5.631
-2.649 4.589 9.552
5.299 0.000 1.961
5.299 0.000 5.693
5.299 0.000 9.426
2.649 4.589 1.835
2.649 4.589 5.756
2.649 4.589 9.489
-1.329 2.302 7.591
-3.969 6.875 7.591
2.658 0.000 0.000
1.329 2.302 3.796
0.000 4.612 0.000
-1.305 6.871 3.796
1.305 6.871 7.591
3.994 2.306 7.591
7.939 0.000 0.000
6.603 2.306 3.796
5.299 4.565 0.000
3.969 6.875 3.796
-1.312 2.272 1.898
-3.987 6.906 1.898
2.623 0.000 5.693
1.312 2.272 9.489
0.000 4.555 5.693
-1.354 6.900 9.489
3.945 2.278 1.898
1.354 6.900 1.898
7.974 0.000 5.693
6.652 2.278 9.489
5.299 4.622 5.693
3.987 6.906 9.489
-0.128 1.818 2.932
-3.788 8.158 0.864
-1.092 3.665 6.524
-2.671 6.399 8.658
-0.994 3.667 1.094
-2.620 6.484 2.701
0.128 1.818 8.455
-3.660 8.379 6.728
1.638 0.798 4.659
1.510 1.020 10.523
-1.013 5.430 4.753
-1.102 5.585 10.429
0.994 3.667 10.292
-1.626 8.205 4.890
1.092 3.665 4.863
-1.579 8.291 10.320
1.013 5.430 6.634
-0.090 7.340 8.549
3.720 0.886 1.067
2.628 2.778 2.728
3.672 0.973 6.497
2.679 2.694 8.686
1.102 5.585 0.958
0.090 7.340 2.838
5.209 1.838 2.838
4.196 3.592 0.958
2.620 6.484 8.686
1.626 8.205 6.497
2.671 6.399 2.728
1.579 8.291 1.067
5.388 1.838 8.549
4.286 3.747 6.634
6.877 0.886 10.320
4.206 5.513 4.863
6.925 0.973 4.890
4.305 5.511 10.292
6.401 3.592 10.429
6.312 3.747 4.753
3.788 8.158 10.523
3.660 8.379 4.659
8.959 0.798 6.728
5.171 7.360 8.455
7.919 2.694 2.701
6.292 5.511 1.094
7.970 2.778 8.658
6.391 5.513 6.524
9.087 1.020 0.864
5.427 7.360 2.932
```



A geometry-optimized SrIrO3 structure, computed with GGA-PBE.

Results
- energy relative to the elements (eV per atom) = -2.03
- calculated density (Mg/m³) = 8.30

```
SrIrO3
1.0
2.828 -4.847 0.000
2.828 4.847 0.000
-0.888 0.000 14.350
Sr Ir O
6 6 18
Cartesian
2.162 4.752 10.763
2.395 1.630 5.709
2.816 1.630 1.466
1.951 -1.630 12.884
2.372 -1.630 8.641
2.606 -4.752 3.588
0.000 0.000 0.000
-0.444 0.000 7.175
1.956 1.583 12.170
2.368 1.583 9.355
2.400 -1.583 4.995
2.812 -1.583 2.180
0.889 2.283 10.553
1.571 3.406 12.993
0.158 0.920 12.889
1.251 0.939 7.777
2.753 3.406 8.532
0.602 -0.920 5.714
1.695 -0.939 0.602
3.435 2.283 10.972
2.162 0.048 10.763
2.606 -0.048 3.588
1.333 -2.283 3.378
3.072 0.939 13.749
4.166 0.920 8.636
2.015 -3.406 5.818
3.516 -0.939 6.574
4.610 -0.920 1.461
3.197 -3.406 1.357
3.879 -2.283 3.797
```